## A
# ZnSn2H12O6F6, optimized geometry, DFT PBE
data_ZnSn2H12O6F6
_chemical_formula_sum 'Zn1 Sn2 H12 O6 F6'
_symmetry_space_group_name_H-M 'P -1'
_symmetry_Int_Tables_number 2
_cell_length_a 6.529
_cell_length_b 6.806
_cell_length_c 7.559
_cell_angle_alpha 78.32
_cell_angle_beta 85.06
_cell_angle_gamma 87.46
loop_
_symmetry_equiv_pos_as_xyz
'x,y,z'
'-x,-y,-z'
loop_
_atom_site_label
_atom_site_type_symbol
_atom_site_fract_x
_atom_site_fract_y
_atom_site_fract_z
Zn1 Zn 0.000 0.000 0.000
Sn1 Sn 0.357 0.350 0.375
H1 H 0.060 0.781 0.364
H2 H 0.075 0.867 0.704
H3 H 0.278 0.353 0.038
H4 H 0.290 0.959 0.744
H5 H 0.342 0.948 0.192
H6 H 0.364 0.438 0.122
O1 O 0.136 0.973 0.757
O2 O 0.188 0.719 0.317
O3 O 0.249 0.854 0.147
F1 F 0.048 0.272 0.381
F2 F 0.201 0.274 0.956
F3 F 0.467 0.067 0.289
# Magnetic moment in Bohr magnetons per cell: 0.00

=====

## B
# ZnSn2H12O6F6, optimized geometry, DFT PBE
data_ZnSn2H12O6F6
_chemical_formula_sum 'Zn1 Sn2 H12 O6 F6'
_symmetry_space_group_name_H-M 'P -1'
_symmetry_Int_Tables_number 2
_cell_length_a 7.062
_cell_length_b 7.152
_cell_length_c 7.172
_cell_angle_alpha 76.19
_cell_angle_beta 72.46
_cell_angle_gamma 79.76
loop_
_symmetry_equiv_pos_as_xyz
'x,y,z'
'-x,-y,-z'
loop_
_atom_site_label
_atom_site_type_symbol
_atom_site_fract_x
_atom_site_fract_y
_atom_site_fract_z
Zn1 Zn 0.000 0.000 0.000
Sn1 Sn 0.323 0.365 0.311
H1 H 0.073 0.368 0.814
H2 H 0.098 0.761 0.748
H3 H 0.210 0.948 0.640
H4 H 0.235 0.945 0.257
H5 H 0.249 0.272 0.915
H6 H 0.349 0.828 0.085
O1 O 0.155 0.244 0.849
O2 O 0.173 0.856 0.769
O3 O 0.216 0.871 0.165
F1 F 0.032 0.414 0.272
F2 F 0.269 0.072 0.409
F3 F 0.421 0.303 0.020
# Magnetic moment in Bohr magnetons per cell: 0.00

=====

It turns out B is the most stable, with the second structure 0.414 eV/atom higher.

=====

## A
# SbPH2F10, optimized geometry, DFT PBE
data_SbPH2F10
_chemical_formula_sum 'Sb4 P4 H8 F40'
_symmetry_space_group_name_H-M 'P 1 21/c 1'
_symmetry_Int_Tables_number 14
_cell_length_a 5.587
_cell_length_b 11.298
_cell_length_c 13.792
_cell_angle_alpha 90.00
_cell_angle_beta 98.40
_cell_angle_gamma 90.00
loop_
_symmetry_equiv_pos_as_xyz
'x,y,z'
'-x,-y,-z'
'-x,y+1/2,-z+1/2'
'x,-y+1/2,z+1/2'
loop_
_atom_site_label
_atom_site_type_symbol
_atom_site_fract_x
_atom_site_fract_y
_atom_site_fract_z
Sb1 Sb 0.153 0.247 0.475
P1 P 0.420 0.561 0.786
H1 H 0.238 0.593 0.200
H2 H 0.304 0.641 0.486
F1 F 0.060 0.175 0.855
F2 F 0.111 0.639 0.051
F3 F 0.126 0.630 0.478
F4 F 0.203 0.212 0.610
F5 F 0.228 0.023 0.222
F6 F 0.235 0.635 0.840
F7 F 0.242 0.606 0.268
F8 F 0.372 0.136 0.435
F9 F 0.410 0.135 0.004
F10 F 0.452 0.654 0.702
# Magnetic moment in Bohr magnetons per cell: 0.00

=====

## B
# SbPH2F10, optimized geometry, DFT PBE
data_SbPH2F10
_chemical_formula_sum 'Sb4 P4 H8 F40'
_symmetry_space_group_name_H-M 'P 1 21/c 1'
_symmetry_Int_Tables_number 14
_cell_length_a 5.790
_cell_length_b 10.816
_cell_length_c 13.224
_cell_angle_alpha 90.00
_cell_angle_beta 100.99
_cell_angle_gamma 90.00
loop_
_symmetry_equiv_pos_as_xyz
'x,y,z'
'-x,-y,-z'
'-x,y+1/2,-z+1/2'
'x,-y+1/2,z+1/2'
loop_
_atom_site_label
_atom_site_type_symbol
_atom_site_fract_x
_atom_site_fract_y
_atom_site_fract_z
Sb1 Sb 0.112 0.246 0.464
P1 P 0.433 0.536 0.786
H1 H 0.281 0.606 0.384
H2 H 0.371 0.527 0.159
F1 F 0.010 0.183 0.830
F2 F 0.112 0.615 0.070
F3 F 0.117 0.659 0.480
F4 F 0.224 0.174 0.598
F5 F 0.253 0.047 0.219
F6 F 0.302 0.603 0.859
F7 F 0.309 0.596 0.316
F8 F 0.338 0.125 0.997
F9 F 0.339 0.146 0.411
F10 F 0.495 0.635 0.714
# Magnetic moment in Bohr magnetons per cell: 0.05

=====

It turns out B is the most stable, with the second structure 0.050 eV/atom higher.

=====

## A
# Hg3F, optimized geometry, DFT PBE
data_Hg3F
_chemical_formula_sum 'Hg3 F1'
_symmetry_space_group_name_H-M 'P m -3 m'
_symmetry_Int_Tables_number 221
_symmetry_space_group_name_Hall '-P 4 2 3'
_cell_length_a 4.421
_cell_length_b 4.421
_cell_length_c 4.421
_cell_angle_alpha 90.00
_cell_angle_beta 90.00
_cell_angle_gamma 90.00
loop_
_atom_site_label
_atom_site_type_symbol
_atom_site_fract_x
_atom_site_fract_y
_atom_site_fract_z
Hg1 Hg 0.000 0.000 0.500
F1 F 0.500 0.500 0.500
# Magnetic moment in Bohr magnetons per cell: 0.00

=====

## B
# Hg3F, optimized geometry, DFT PBE
data_Hg3F
_chemical_formula_sum 'Hg6 F2'
_symmetry_space_group_name_H-M 'I 4/m m m'
_symmetry_Int_Tables_number 139
_symmetry_space_group_name_Hall '-I 4 2'
_cell_length_a 4.505
_cell_length_b 4.505
_cell_length_c 8.351
_cell_angle_alpha 90.00
_cell_angle_beta 90.00
_cell_angle_gamma 90.00
loop_
_atom_site_label
_atom_site_type_symbol
_atom_site_fract_x
_atom_site_fract_y
_atom_site_fract_z
Hg1 Hg 0.000 0.000 0.000
Hg2 Hg 0.000 0.500 0.250
F1 F 0.000 0.000 0.500
# Magnetic moment in Bohr magnetons per cell: 0.00

=====

It turns out B is the most stable, with the second structure 0.008 eV/atom higher.

=====

## A
# SiHg2O4F6, optimized geometry, DFT PBE
data_SiHg2O4F6
_chemical_formula_sum 'Si1 Hg2 O4 F6'
_symmetry_space_group_name_H-M 'P -1'
_symmetry_Int_Tables_number 2
_cell_length_a 5.064
_cell_length_b 5.369
_cell_length_c 7.078
_cell_angle_alpha 109.10
_cell_angle_beta 97.97
_cell_angle_gamma 91.72
loop_
_symmetry_equiv_pos_as_xyz
'x,y,z'
'-x,-y,-z'
loop_
_atom_site_label
_atom_site_type_symbol
_atom_site_fract_x
_atom_site_fract_y
_atom_site_fract_z
Si1 Si 0.000 0.000 0.000
Hg1 Hg 0.000 0.000 0.500
Hg2 Hg 0.500 0.500 0.000
O1 O 0.395 0.712 0.454
O2 O 0.422 0.271 0.653
F1 F 0.047 0.767 0.121
F2 F 0.107 0.790 0.790
F3 F 0.319 0.136 0.101
# Magnetic moment in Bohr magnetons per cell: 2.00

=====

## B
# SiHg2O4F6, optimized geometry, DFT PBE
data_SiHg2O4F6
_chemical_formula_sum 'Si1 Hg2 O4 F6'
_symmetry_space_group_name_H-M 'P -1'
_symmetry_Int_Tables_number 2
_cell_length_a 5.149
_cell_length_b 5.239
_cell_length_c 7.017
_cell_angle_alpha 102.60
_cell_angle_beta 103.35
_cell_angle_gamma 93.53
loop_
_symmetry_equiv_pos_as_xyz
'x,y,z'
'-x,-y,-z'
loop_
_atom_site_label
_atom_site_type_symbol
_atom_site_fract_x
_atom_site_fract_y
_atom_site_fract_z
Si1 Si 0.000 0.000 0.000
Hg1 Hg 0.000 0.000 0.500
Hg2 Hg 0.500 0.500 0.000
O1 O 0.293 0.386 0.651
O2 O 0.352 0.545 0.542
F1 F 0.132 0.319 0.114
F2 F 0.210 0.895 0.189
F3 F 0.239 0.969 0.863
# Magnetic moment in Bohr magnetons per cell: 0.00

=====

It turns out B is the most stable, with the second structure 0.016 eV/atom higher.

=====

## A
# K2LiS2O4F2, optimized geometry, DFT PBE
data_K2LiS2O4F2
_chemical_formula_sum 'K2 Li1 S2 O4 F2'
_symmetry_space_group_name_H-M 'P 1'
_symmetry_Int_Tables_number 1
_cell_length_a 5.387
_cell_length_b 6.034
_cell_length_c 7.486
_cell_angle_alpha 86.90
_cell_angle_beta 73.31
_cell_angle_gamma 72.39
loop_
_symmetry_equiv_pos_as_xyz
'x,y,z'
loop_
_atom_site_label
_atom_site_type_symbol
_atom_site_fract_x
_atom_site_fract_y
_atom_site_fract_z
K1 K 0.000 0.000 0.000
K2 K 0.494 0.692 0.271
Li1 Li 0.446 0.282 0.881
S1 S 0.827 0.055 0.502
S2 S 0.906 0.540 0.776
O1 O 0.129 0.551 0.861
O2 O 0.542 0.131 0.619
O3 O 0.705 0.435 0.915
O4 O 0.880 0.862 0.368
F1 F 0.462 0.033 0.037
F2 F 0.822 0.287 0.341
# Magnetic moment in Bohr magnetons per cell: 1.00

=====

## B
# K2LiS2O4F2, optimized geometry, DFT PBE
data_K2LiS2O4F2
_chemical_formula_sum 'K2 Li1 S2 O4 F2'
_symmetry_space_group_name_H-M 'P 1'
_symmetry_Int_Tables_number 1
_cell_length_a 4.547
_cell_length_b 5.878
_cell_length_c 8.452
_cell_angle_alpha 99.67
_cell_angle_beta 95.48
_cell_angle_gamma 93.08
loop_
_symmetry_equiv_pos_as_xyz
'x,y,z'
loop_
_atom_site_label
_atom_site_type_symbol
_atom_site_fract_x
_atom_site_fract_y
_atom_site_fract_z
K1 K 0.000 0.000 0.000
K2 K 0.444 0.502 0.713
Li1 Li 0.500 0.815 0.222
S1 S 0.667 0.374 0.324
S2 S 0.960 0.970 0.577
O1 O 0.258 0.036 0.540
O2 O 0.448 0.562 0.338
O3 O 0.530 0.149 0.219
O4 O 0.959 0.785 0.677
F1 F 0.507 0.736 0.006
F2 F 0.924 0.225 0.747
# Magnetic moment in Bohr magnetons per cell: 1.00

=====

## C
# K2LiS2O4F2, optimized geometry, DFT PBE
data_K2LiS2O4F2
_chemical_formula_sum 'K2 Li1 S2 O4 F2'
_symmetry_space_group_name_H-M 'P 1'
_symmetry_Int_Tables_number 1
_cell_length_a 5.361
_cell_length_b 5.771
_cell_length_c 7.516
_cell_angle_alpha 79.92
_cell_angle_beta 73.17
_cell_angle_gamma 76.22
loop_
_symmetry_equiv_pos_as_xyz
'x,y,z'
loop_
_atom_site_label
_atom_site_type_symbol
_atom_site_fract_x
_atom_site_fract_y
_atom_site_fract_z
K1 K 0.000 0.000 0.000
K2 K 0.460 0.638 0.279
Li1 Li 0.475 0.300 0.857
S1 S 0.867 0.115 0.494
S2 S 0.928 0.582 0.768
O1 O 0.172 0.571 0.837
O2 O 0.589 0.229 0.581
O3 O 0.729 0.452 0.916
O4 O 0.880 0.933 0.373
F1 F 0.475 0.019 0.020
F2 F 0.952 0.358 0.316
# Magnetic moment in Bohr magnetons per cell: 1.00

=====

## D
# K2LiS2O4F2, optimized geometry, DFT PBE
data_K2LiS2O4F2
_chemical_formula_sum 'K2 Li1 S2 O4 F2'
_symmetry_space_group_name_H-M 'P 1 m 1'
_symmetry_Int_Tables_number 6
_cell_length_a 5.267
_cell_length_b 5.460
_cell_length_c 7.015
_cell_angle_alpha 90.00
_cell_angle_beta 108.18
_cell_angle_gamma 90.00
loop_
_symmetry_equiv_pos_as_xyz
'x,y,z'
'x,-y,z'
loop_
_atom_site_label
_atom_site_type_symbol
_atom_site_fract_x
_atom_site_fract_y
_atom_site_fract_z
K1 K 0.000 0.000 0.000
K2 K 0.141 0.500 0.438
Li1 Li 0.394 0.000 0.665
S1 S 0.457 0.500 0.977
S2 S 0.668 0.000 0.403
O1 O 0.397 0.272 0.852
O2 O 0.692 0.226 0.528
F1 F 0.018 0.500 0.053
F2 F 0.156 0.000 0.409
# Magnetic moment in Bohr magnetons per cell: 1.01

=====

It turns out A is the most stable, with the second structure 0.008 eV/atom higher.

=====

## A
# K2LiPdF6, optimized geometry, DFT PBE
data_K2LiPdF6
_chemical_formula_sum 'K8 Li4 Pd4 F24'
_symmetry_space_group_name_H-M 'F m -3 m'
_symmetry_Int_Tables_number 225
_symmetry_space_group_name_Hall '-F 4 2 3'
_cell_length_a 8.271
_cell_length_b 8.271
_cell_length_c 8.271
_cell_angle_alpha 90.00
_cell_angle_beta 90.00
_cell_angle_gamma 90.00
loop_
_atom_site_label
_atom_site_type_symbol
_atom_site_fract_x
_atom_site_fract_y
_atom_site_fract_z
K1 K 0.250 0.250 0.250
Li1 Li 0.000 0.000 0.000
Pd1 Pd 0.000 0.000 0.500
F1 F 0.000 0.000 0.251
# Magnetic moment in Bohr magnetons per cell: 4.00

=====

## B
# K2LiPdF6, optimized geometry, DFT PBE
data_K2LiPdF6
_chemical_formula_sum 'K4 Li2 Pd2 F12'
_symmetry_space_group_name_H-M 'I 4/m m m'
_symmetry_Int_Tables_number 139
_symmetry_space_group_name_Hall '-I 4 2'
_cell_length_a 5.800
_cell_length_b 5.800
_cell_length_c 8.458
_cell_angle_alpha 90.00
_cell_angle_beta 90.00
_cell_angle_gamma 90.00
loop_
_atom_site_label
_atom_site_type_symbol
_atom_site_fract_x
_atom_site_fract_y
_atom_site_fract_z
K1 K 0.000 0.500 0.250
Li1 Li 0.000 0.000 0.000
Pd1 Pd 0.000 0.000 0.500
F1 F 0.000 0.000 0.239
F2 F 0.244 0.244 0.500
# Magnetic moment in Bohr magnetons per cell: 2.00

=====

It turns out B is the most stable, with the second structure 0.009 eV/atom higher.

=====

## A
# K3SO4F, optimized geometry, DFT PBE
data_K3SO4F
_chemical_formula_sum 'K12 S4 O16 F4'
_symmetry_space_group_name_H-M 'I 4/m c m'
_symmetry_Int_Tables_number 140
_symmetry_space_group_name_Hall '-I 4 2c'
_cell_length_a 7.390
_cell_length_b 7.390
_cell_length_c 11.064
_cell_angle_alpha 90.00
_cell_angle_beta 90.00
_cell_angle_gamma 90.00
loop_
_atom_site_label
_atom_site_type_symbol
_atom_site_fract_x
_atom_site_fract_y
_atom_site_fract_z
K1 K 0.000 0.000 0.250
K2 K 0.193 0.307 0.000
S1 S 0.000 0.500 0.250
O1 O 0.116 0.384 0.329
F1 F 0.000 0.000 0.000
# Magnetic moment in Bohr magnetons per cell: 0.00

=====

## B
# K3SO4F, optimized geometry, DFT PBE
data_K3SO4F
_chemical_formula_sum 'K3 S1 O4 F1'
_symmetry_space_group_name_H-M 'P -4 3 m'
_symmetry_Int_Tables_number 215
_symmetry_space_group_name_Hall 'P -4 2 3'
_cell_length_a 5.467
_cell_length_b 5.467
_cell_length_c 5.467
_cell_angle_alpha 90.00
_cell_angle_beta 90.00
_cell_angle_gamma 90.00
loop_
_atom_site_label
_atom_site_type_symbol
_atom_site_fract_x
_atom_site_fract_y
_atom_site_fract_z
K1 K 0.000 0.000 0.500
S1 S 0.500 0.500 0.500
O1 O 0.342 0.342 0.658
F1 F 0.000 0.000 0.000
# Magnetic moment in Bohr magnetons per cell: 0.00

=====

It turns out A is the most stable, with the second structure 0.008 eV/atom higher.